Entry 1:
BeCo2Si (PBE-GGA, relaxed); corrected total energy (MP2020 scheme) = -6.425 eV per atom; polymorph energy (0 for the lowest one) = 0 meV/atom
1.0
5.364 0.000 0.000
0.000 5.364 0.000
0.000 0.000 5.364
Be Co Si
4 8 4
Direct
0.000 0.000 0.000
0.000 0.500 0.500
0.500 0.000 0.500
0.500 0.500 0.000
0.250 0.250 0.250
0.250 0.250 0.750
0.250 0.750 0.250
0.250 0.750 0.750
0.750 0.250 0.250
0.750 0.250 0.750
0.750 0.750 0.250
0.750 0.750 0.750
0.000 0.000 0.500
0.000 0.500 0.000
0.500 0.000 0.000
0.500 0.500 0.500

Entry 2:
DFT (PBE-GGA) results for a geometry-optimized Be12Cr structure.

Cell and atoms, written as POSCAR:
```
Be12Cr
1.0
-3.597 3.597 2.061
3.597 -3.597 2.061
3.597 3.597 -2.061
Be Cr
12 1
Direct
0.000 0.000 0.500
0.000 0.211 0.211
0.000 0.500 0.000
0.000 0.789 0.789
0.152 0.500 0.652
0.211 0.000 0.211
0.500 0.000 0.000
0.500 0.152 0.652
0.500 0.500 0.500
0.500 0.848 0.348
0.789 0.000 0.789
0.848 0.500 0.348
0.500 0.500 0.000
```

Entry 3:
DFT (PBE-GGA) results for a geometry-optimized BeCr3 structure.

Cell and atoms, written as POSCAR:
```
BeCr3
1.0
3.511 0.000 0.000
0.000 3.511 0.000
0.000 0.000 3.511
Be Cr
1 3
Direct
0.000 0.000 0.000
0.000 0.500 0.500
0.500 0.000 0.500
0.500 0.500 0.000
```

Number 1: calculated formation energy -0.580 eV/atom, VASP energy -25.77 eV per formula unit. Number 2: calculated formation energy -0.051 eV/atom, VASP energy -55.18 eV per formula unit. Number 3: calculated formation energy 0.127 eV/atom, VASP energy -32.19 eV per formula unit.